Entry from Materials Project: a relaxed structure of Na2Zn2Se3 (PBE).

Unit cell a=7.779 b=7.779 c=11.873 alpha=90.00 beta=90.00 gamma=90.00
Positions (direct):
Na  0.750  0.531  0.654
Se  0.187  0.187  0.000
Se  0.261  0.026  0.334
Se  0.687  0.313  0.250
Zn  0.952  0.221  0.868
Se  0.239  0.526  0.416
Na  0.250  0.469  0.154
Se  0.739  0.974  0.834
Se  0.813  0.813  0.500
Se  0.526  0.239  0.584
Se  0.026  0.261  0.666
Zn  0.721  0.548  0.118
Na  0.969  0.250  0.404
Se  0.474  0.761  0.084
Zn  0.048  0.779  0.368
Na  0.531  0.750  0.346
Se  0.313  0.687  0.750
Zn  0.452  0.279  0.382
Na  0.750  0.031  0.096
Zn  0.221  0.952  0.132
Na  0.250  0.969  0.596
Na  0.469  0.250  0.846
Se  0.761  0.474  0.916
Zn  0.548  0.721  0.882
Se  0.974  0.739  0.166
Zn  0.779  0.048  0.632
Zn  0.279  0.452  0.618
Na  0.031  0.750  0.904

Results
SG = P4_32_12
energy above the most stable polymorph in this dataset = 0.32 eV/f.u.
spin magnetization = 0.00 μB per formula unit
energy of formation = -1029 meV per atom
total energy = -85.8 eV for the cell shown


Entry from Materials Project: a relaxed structure of Na2ZnSe2 (PBE).

Unit cell a=7.425 b=7.205 c=9.378 alpha=87.15 beta=90.00 gamma=90.00
Positions (direct):
Se  0.112  0.304  0.410
Zn  0.909  0.347  0.627
Na  0.328  0.449  0.678
Se  0.542  0.253  0.145
Se  0.888  0.696  0.590
Na  0.264  0.989  0.050
Se  0.458  0.747  0.855
Se  0.388  0.804  0.410
Zn  0.091  0.653  0.373
Na  0.236  0.489  0.050
Na  0.828  0.051  0.322
Se  0.042  0.247  0.855
Zn  0.409  0.153  0.373
Se  0.612  0.196  0.590
Na  0.736  0.011  0.950
Na  0.672  0.551  0.322
Se  0.958  0.753  0.145
Na  0.764  0.511  0.950
Zn  0.591  0.847  0.627
Na  0.172  0.949  0.678

Results
SG = P2_1/c
energy above the most stable polymorph in this dataset = 0.00 eV/f.u.
energy of formation = -1124 meV per atom
total energy = -62.3 eV for the cell shown


Entry from Materials Project: a relaxed structure of Na2ZnSe2 (PBE).

Unit cell a=7.456 b=7.456 c=7.456 alpha=130.69 beta=126.11 gamma=76.04
Positions (direct):
Na  0.795  0.640  0.155
Na  0.485  0.140  0.345
Se  0.102  0.887  0.215
Zn  0.000  0.250  0.250
Se  0.328  0.613  0.715
Se  0.898  0.113  0.785
Na  0.205  0.360  0.845
Zn  0.000  0.750  0.750
Se  0.672  0.387  0.285
Na  0.515  0.860  0.655

Results
SG = Ibam
energy above the most stable polymorph in this dataset = 0.01 eV/f.u.
energy of formation = -1122 meV per atom
total energy = -31.1 eV for the cell shown


Entry from Materials Project: a relaxed structure of Na2Zn2Se3 (PBE).

Unit cell a=10.398 b=10.398 c=7.116 alpha=70.10 beta=70.10 gamma=82.83
Positions (direct):
Na  0.278  0.722  0.250
Na  0.021  0.190  0.863
Na  0.979  0.810  0.137
Zn  0.210  0.364  0.297
Se  0.582  0.146  0.551
Se  0.425  0.276  0.068
Se  0.575  0.724  0.932
Se  0.769  0.003  0.055
Se  0.724  0.575  0.432
Na  0.722  0.278  0.750
Zn  0.548  0.080  0.262
Zn  0.636  0.790  0.203
Zn  0.790  0.636  0.703
Zn  0.452  0.920  0.738
Se  0.231  0.997  0.945
Se  0.146  0.582  0.051
Zn  0.080  0.548  0.762
Se  0.854  0.418  0.949
Se  0.003  0.769  0.555
Na  0.810  0.979  0.637
Se  0.276  0.425  0.568
Se  0.997  0.231  0.445
Na  0.190  0.021  0.363
Zn  0.920  0.452  0.238
Se  0.418  0.854  0.449
Na  0.430  0.570  0.750
Zn  0.364  0.210  0.797
Na  0.570  0.430  0.250

Results
SG = C2/c
energy above the most stable polymorph in this dataset = 0.00 eV/f.u.
energy of formation = -1075 meV per atom
total energy = -87.0 eV for the cell shown


Entry from Materials Project: a relaxed structure of Na2Zn3Se4 (PBE).

Unit cell a=9.119 b=9.119 c=9.119 alpha=141.30 beta=108.40 gamma=84.48
Positions (direct):
Se  0.766  0.367  0.861
Se  0.266  0.406  0.400
Se  0.506  0.906  0.139
Se  0.234  0.633  0.139
Se  0.734  0.594  0.600
Zn  0.250  0.750  0.500
Na  0.875  0.235  0.110
Zn  0.528  0.750  0.778
Zn  0.472  0.250  0.222
Na  0.625  0.735  0.361
Se  0.494  0.094  0.861
Se  0.006  0.867  0.600
Se  0.994  0.133  0.400
Na  0.125  0.765  0.890
Zn  0.750  0.250  0.500
Na  0.375  0.265  0.639
Zn  0.972  0.750  0.222
Zn  0.028  0.250  0.778

Results
SG = Ibam
spin magnetization = 0.00 μB per formula unit
energy of formation = -981 meV per atom
total energy = -54.7 eV for the cell shown


Entry from Materials Project: a relaxed structure of Na4Zn3Se5 (PBE).

Unit cell a=4.134 b=13.782 c=19.686 alpha=90.00 beta=90.00 gamma=90.00
Positions (direct):
Se  0.250  0.344  0.976
Zn  0.250  0.709  0.960
Na  0.250  0.999  0.767
Na  0.250  0.773  0.667
Se  0.750  0.876  0.347
Na  0.250  0.499  0.733
Se  0.250  0.647  0.253
Zn  0.250  0.209  0.540
Zn  0.750  0.791  0.460
Zn  0.750  0.181  0.717
Zn  0.250  0.819  0.283
Se  0.750  0.156  0.476
Se  0.250  0.624  0.847
Se  0.750  0.353  0.747
Zn  0.250  0.075  0.131
Na  0.750  0.389  0.450
Se  0.250  0.391  0.340
Se  0.250  0.844  0.524
Zn  0.750  0.425  0.631
Na  0.750  0.227  0.333
Se  0.750  0.656  0.024
Zn  0.750  0.291  0.040
Se  0.250  0.389  0.562
Se  0.750  0.109  0.840
Se  0.750  0.609  0.660
Se  0.250  0.891  0.160
Zn  0.750  0.925  0.869
Se  0.250  0.147  0.247
Na  0.250  0.273  0.833
Zn  0.750  0.681  0.783
Na  0.250  0.111  0.950
Se  0.250  0.889  0.938
Na  0.750  0.493  0.917
Na  0.250  0.507  0.083
Na  0.750  0.993  0.583
Se  0.250  0.124  0.653
Na  0.250  0.007  0.417
Na  0.750  0.889  0.050
Na  0.750  0.727  0.167
Na  0.750  0.501  0.267
Se  0.750  0.611  0.438
Zn  0.250  0.319  0.217
Se  0.750  0.111  0.062
Na  0.750  0.001  0.233
Se  0.750  0.853  0.753
Se  0.750  0.376  0.153
Zn  0.250  0.575  0.369
Na  0.250  0.611  0.550

Results
SG = Pnma
spin magnetization = 0.00 μB per formula unit
energy of formation = -1095 meV per atom
total energy = -149.3 eV for the cell shown


Entry from Materials Project: a relaxed structure of NaSi34 (PBE).

Unit cell a=10.409 b=10.409 c=10.409 alpha=60.00 beta=60.00 gamma=60.00
Positions (direct):
Si  0.754  0.754  0.361
Si  0.342  0.973  0.342
Si  0.130  0.754  0.361
Si  0.889  0.496  0.119
Si  0.754  0.754  0.130
Si  0.754  0.130  0.361
Si  0.754  0.361  0.754
Si  0.908  0.908  0.908
Si  0.130  0.361  0.754
Si  0.496  0.119  0.496
Si  0.973  0.342  0.342
Si  0.361  0.754  0.754
Si  0.496  0.119  0.889
Si  0.277  0.908  0.908
Si  0.119  0.496  0.889
Si  0.908  0.277  0.908
Na  0.750  0.750  0.750
Si  0.496  0.496  0.889
Si  0.250  0.250  0.250
Si  0.889  0.496  0.496
Si  0.119  0.496  0.496
Si  0.908  0.908  0.277
Si  0.754  0.361  0.130
Si  0.889  0.119  0.496
Si  0.342  0.342  0.342
Si  0.361  0.754  0.130
Si  0.496  0.889  0.496
Si  0.342  0.342  0.973
Si  0.361  0.130  0.754
Si  0.000  0.000  0.000
Si  0.496  0.889  0.119
Si  0.496  0.496  0.119
Si  0.130  0.754  0.754
Si  0.754  0.130  0.754
Si  0.119  0.889  0.496

Results
SG = F-43m
spin magnetization = 1.00 μB per formula unit
energy of formation = 117 meV per atom
total energy = -184.1 eV for the cell shown


Entry from Materials Project: a relaxed structure of Na5Si34 (PBE).

Unit cell a=10.460 b=10.460 c=10.460 alpha=59.97 beta=59.97 gamma=59.97
Positions (direct):
Si  0.629  0.236  0.629
Na  0.000  0.000  0.500
Na  0.500  0.000  0.000
Si  0.629  0.006  0.236
Si  0.006  0.628  0.628
Si  0.994  0.372  0.372
Si  0.782  0.782  0.155
Si  0.155  0.782  0.782
Si  0.371  0.764  0.371
Si  0.764  0.994  0.371
Si  0.782  0.782  0.782
Si  0.236  0.629  0.629
Si  0.764  0.371  0.994
Si  0.782  0.155  0.782
Si  0.629  0.629  0.236
Na  0.000  0.500  0.000
Si  0.218  0.218  0.218
Si  0.125  0.125  0.125
Si  0.371  0.764  0.994
Si  0.006  0.236  0.629
Si  0.371  0.371  0.764
Si  0.006  0.629  0.236
Si  0.628  0.628  0.006
Si  0.371  0.994  0.764
Si  0.994  0.764  0.371
Si  0.218  0.218  0.845
Na  0.625  0.625  0.625
Si  0.875  0.875  0.875
Si  0.236  0.629  0.006
Si  0.236  0.006  0.629
Na  0.375  0.375  0.375
Si  0.764  0.371  0.371
Si  0.218  0.845  0.218
Si  0.845  0.218  0.218
Si  0.994  0.371  0.764
Si  0.628  0.006  0.628
Si  0.372  0.372  0.994
Si  0.372  0.994  0.372
Si  0.629  0.236  0.006

Results
SG = R-3m
energy of formation = 69 meV per atom
total energy = -190.8 eV for the cell shown


Entry from Materials Project: a relaxed structure of Na4Si23 (PBE).

Unit cell a=10.244 b=10.244 c=10.244 alpha=90.00 beta=90.00 gamma=90.00
Positions (direct):
Na  0.250  0.500  0.000
Na  0.000  0.750  0.500
Si  0.500  0.617  0.192
Si  0.808  0.500  0.383
Si  0.308  0.883  0.000
Si  0.883  0.000  0.308
Si  0.316  0.684  0.684
Si  0.000  0.500  0.250
Si  0.816  0.816  0.184
Si  0.692  0.117  0.000
Si  0.000  0.692  0.117
Si  0.117  0.000  0.692
Si  0.316  0.316  0.684
Si  0.316  0.316  0.316
Si  0.117  0.000  0.308
Si  0.383  0.808  0.500
Si  0.192  0.500  0.383
Si  0.617  0.192  0.500
Si  0.816  0.816  0.816
Na  0.500  0.000  0.250
Si  0.500  0.750  0.000
Si  0.684  0.684  0.316
Si  0.808  0.500  0.617
Si  0.184  0.816  0.816
Si  0.192  0.500  0.617
Si  0.750  0.000  0.500
Si  0.684  0.316  0.316
Si  0.308  0.117  0.000
Si  0.816  0.184  0.816
Si  0.684  0.316  0.684
Si  0.692  0.883  0.000
Si  0.500  0.250  0.000
Si  0.316  0.684  0.316
Na  0.000  0.250  0.500
Si  0.250  0.000  0.500
Si  0.883  0.000  0.692
Si  0.500  0.383  0.808
Si  0.617  0.808  0.500
Na  0.500  0.500  0.500
Si  0.184  0.184  0.184
Na  0.750  0.500  0.000
Si  0.184  0.184  0.816
Si  0.000  0.692  0.883
Si  0.000  0.308  0.117
Si  0.383  0.192  0.500
Si  0.500  0.617  0.808
Na  0.500  0.000  0.750
Si  0.000  0.500  0.750
Si  0.184  0.816  0.184
Si  0.000  0.308  0.883
Si  0.816  0.184  0.184
Si  0.500  0.383  0.192
Na  0.000  0.000  0.000
Si  0.684  0.684  0.684

Results
SG = Pm-3n
energy of formation = 68 meV per atom
total energy = -259.7 eV for the cell shown